[1]
# VCdNiP2O13

A relaxed structure of VCdNiP2O13 (PBE+U, the Materials Project database).

Calculated values
Volume in Å³ per atom: 14.65
Raw total energy in eV/atom: -5.812
Energy relative to the elements in kJ/mol of formula units: -2591

POSCAR file:
```
VCdNiP2O13
1.0
-3.585 7.738 9.508
3.585 -7.738 9.508
3.585 7.738 -9.508
O Ni Cd P V
52 4 4 8 4
Cartesian
-0.481 9.578 3.519
1.191 4.972 10.936
1.344 -2.281 8.492
2.441 4.952 -1.363
5.183 4.049 -4.945
3.348 7.316 -1.367
0.542 5.489 5.948
2.441 2.787 8.145
3.104 5.898 3.519
3.291 -2.005 3.321
1.344 10.019 -1.017
3.830 1.995 6.175
1.819 -0.142 4.800
3.837 -0.412 1.382
1.191 2.767 1.428
1.819 7.880 -4.709
4.127 5.489 -5.948
-0.008 3.838 8.747
1.344 2.281 10.525
3.577 3.901 0.762
1.191 12.710 -1.428
-0.294 2.005 3.321
1.344 5.457 1.017
2.296 5.447 8.558
2.441 -2.787 10.872
4.776 2.767 -1.428
0.542 2.249 15.457
-0.294 9.743 6.188
0.245 1.995 12.842
3.291 5.733 6.188
3.104 -1.840 5.989
3.348 0.422 8.141
4.127 2.249 3.560
2.296 2.291 -0.950
-0.237 7.316 1.367
5.881 2.291 0.950
-1.766 7.880 4.709
0.252 8.150 8.126
1.598 4.049 4.945
-0.481 1.840 5.989
0.245 5.743 3.333
1.598 3.690 14.454
3.348 8.160 1.367
3.577 -3.838 8.747
-0.008 11.576 0.762
0.252 0.412 1.382
-1.289 5.447 10.458
1.819 7.596 4.709
5.183 3.690 4.563
-1.144 2.787 10.872
0.252 -0.412 17.635
3.830 5.743 -3.333
1.804 -1.905 4.801
1.804 1.905 14.216
1.804 9.643 -4.707
1.804 5.833 4.707
1.606 7.738 0.000
5.574 0.000 0.000
1.989 0.000 0.000
1.606 0.000 9.508
3.631 5.856 -1.845
3.555 5.862 7.662
-0.030 5.862 11.355
3.631 1.882 7.664
0.046 5.856 1.845
-0.030 1.877 1.847
3.555 1.877 -1.847
0.046 1.882 11.353
2.055 3.868 9.657
2.055 3.871 0.148
2.055 -3.868 9.360
-1.530 3.868 9.360
```

[2]
# Li4Cr3NiO8

A relaxed structure of Li4Cr3NiO8 (PBE+U, the Materials Project database).

Calculated values
Volume in Å³ per atom: 9.04
Distance to the lowest polymorph of the same formula in eV per atom: 0.055
Raw total energy in eV/atom: -6.376
Energy relative to the elements in kJ/mol of formula units: -3289

POSCAR file:
```
Li4Cr3NiO8
1.0
-1.873 -0.917 4.655
4.915 -1.128 0.829
1.333 5.722 -0.185
Li Ni Cr O
4 1 3 8
Cartesian
3.912 3.691 2.762
0.463 -0.013 2.537
1.142 2.817 2.422
3.233 0.861 2.878
3.124 2.297 0.322
1.007 4.275 -0.129
2.458 -0.564 0.415
3.368 -0.598 5.428
-0.269 1.706 3.599
2.448 4.034 1.216
4.644 1.971 1.700
3.930 -0.877 1.751
1.802 1.119 1.287
1.927 -0.356 4.083
0.445 4.554 3.549
2.573 2.558 4.012
```

[3]
# CuNi2O4

A relaxed structure of CuNi2O4 (PBE+U, the Materials Project database).

Calculated values
Volume in Å³ per atom: 10.06
Raw total energy in eV/atom: -4.926
Energy relative to the elements in kJ/mol of formula units: -662

POSCAR file:
```
CuNi2O4
1.0
4.983 2.998 -0.547
-0.940 -3.259 4.755
3.047 -4.915 0.822
O Cu Ni
8 2 4
Cartesian
2.870 -1.490 1.205
6.698 -2.535 1.516
4.394 -3.921 1.769
5.173 -0.104 0.952
3.773 -5.514 4.141
6.263 -4.042 3.715
4.854 -1.769 3.335
2.364 -3.242 3.762
1.537 -2.109 2.446
0.000 0.000 0.000
3.260 0.445 0.950
1.822 -5.141 4.012
4.313 -3.642 3.738
4.784 -2.012 1.361
```

[4]
# BaTlCo2O6

A relaxed structure of BaTlCo2O6 (PBE+U, the Materials Project database).

Calculated values
Volume in Å³ per atom: 15.64
Raw total energy in eV/atom: -5.204
Energy relative to the elements in kJ/mol of formula units: -1086

POSCAR file:
```
BaTlCo2O6
1.0
-12.150 -2.663 19.821
-16.221 -1.590 16.791
13.902 -0.400 -18.819
O Co Tl Ba
12 4 2 2
Cartesian
-1.714 -1.078 -0.299
-20.202 -3.028 26.070
-6.014 -0.901 7.760
-24.447 -3.664 31.548
-8.169 -1.224 10.542
-11.303 -3.357 16.217
-10.380 -1.556 13.395
-14.791 -3.038 16.576
-17.991 -2.697 23.216
-1.131 -1.832 3.091
-22.357 -3.351 28.851
-3.924 -0.588 5.064
-9.287 -3.055 13.616
-3.146 -2.134 5.691
-7.304 -2.758 11.057
-5.130 -2.432 8.251
-12.561 -3.546 17.841
0.127 -1.644 1.467
-12.700 -2.725 13.878
-3.805 -1.391 2.400
```

[5]
# Li5Mn3O8

A relaxed structure of Li5Mn3O8 (PBE+U, the Materials Project database).

Calculated values
Volume in Å³ per atom: 8.94
Distance to the lowest polymorph of the same formula in eV per atom: 0.000
Raw total energy in eV/atom: -6.282
Energy relative to the elements in kJ/mol of formula units: -3319

POSCAR file:
```
Li5Mn3O8
1.0
-0.945 4.572 -1.800
-6.789 -1.578 3.707
0.960 4.546 6.177
Li O Mn
10 16 6
Cartesian
-1.802 3.444 6.813
-2.881 6.025 7.058
-5.680 0.385 5.579
-1.182 7.186 2.537
-5.057 4.124 1.302
-4.145 4.131 5.261
-1.230 2.645 0.319
-5.381 2.283 3.520
-6.754 2.966 5.823
-1.504 5.341 4.754
-2.213 3.316 4.691
-5.973 5.001 5.849
-0.625 4.674 0.143
-6.088 0.254 3.456
-0.483 7.218 4.458
-1.975 0.717 0.613
-6.127 3.024 7.930
-4.357 4.156 3.223
-0.893 2.569 2.376
-3.058 3.516 0.906
-3.210 1.538 2.988
-1.898 5.158 2.558
-4.817 6.646 7.501
-3.808 4.055 7.318
-3.540 6.159 5.086
-4.890 2.202 5.554
-2.615 3.403 2.796
-2.943 1.505 4.968
-4.364 2.215 7.368
-5.531 4.889 7.739
-0.028 0.020 0.026
-1.447 0.727 2.427
```

[6]
# MgNiAgO2

A relaxed structure of MgNiAgO2 (PBE+U, the Materials Project database).

Calculated values
Volume in Å³ per atom: 13.35
Distance to the lowest polymorph of the same formula in eV per atom: 0.000
Raw total energy in eV/atom: -4.456
Energy relative to the elements in kJ/mol of formula units: -587

POSCAR file:
```
MgNiAgO2
1.0
5.089 -5.826 2.512
3.925 -7.122 -0.074
6.311 -5.124 -0.270
Ni O Mg Ag
1 2 1 1
Cartesian
7.377 -8.703 1.043
1.765 -2.084 0.249
13.542 -15.977 1.914
3.838 -4.533 0.541
0.337 -0.403 0.046
```

[7]
# Rb2BiPWO8

A relaxed structure of Rb2BiPWO8 (PBE+U, the Materials Project database).

Calculated values
Volume in Å³ per atom: 18.26
Raw total energy in eV/atom: -6.497
Energy relative to the elements in kJ/mol of formula units: -2952

POSCAR file:
```
Rb2BiPWO8
1.0
-3.592 6.341 10.424
3.592 -6.341 10.424
3.592 6.341 -10.424
Bi P O Rb W
4 4 32 8 4
Cartesian
5.388 2.104 0.000
-1.796 4.237 10.424
1.796 4.237 0.000
1.796 2.104 10.424
1.796 -0.929 10.424
1.796 0.929 0.000
1.796 5.412 10.424
1.796 7.270 0.000
3.127 4.579 5.997
0.588 4.441 10.220
5.046 2.720 -2.371
1.454 9.962 -2.371
5.211 0.011 1.225
4.057 1.762 5.997
-0.588 1.900 10.220
4.057 -1.762 4.427
3.004 4.441 10.628
1.454 3.621 2.371
-0.465 8.104 5.997
1.619 6.330 -1.225
1.619 -0.011 1.225
1.619 0.011 9.199
2.137 2.720 8.053
-0.465 4.579 4.427
1.972 0.011 11.649
0.588 8.241 0.204
4.179 4.441 0.204
3.004 -1.900 10.220
0.588 1.900 -0.204
2.137 -3.621 12.795
1.972 6.352 9.199
0.465 1.762 4.427
-1.454 3.621 12.795
1.454 2.720 12.795
1.972 6.330 1.225
-0.465 1.762 14.851
2.137 3.621 -2.371
-1.619 6.330 9.199
3.004 1.900 0.204
4.057 4.579 -4.427
3.349 5.304 -7.139
3.349 1.037 3.285
3.835 5.304 3.285
-0.243 1.037 7.139
3.349 -1.037 7.139
0.243 1.037 17.563
0.243 5.304 7.139
0.243 7.378 3.285
3.592 3.171 -3.394
0.000 3.171 13.818
0.000 3.171 3.394
3.592 3.171 7.030
```

[8]
# Cs4MgW2O8

A relaxed structure of Cs4MgW2O8 (PBE+U, the Materials Project database).

Calculated values
Volume in Å³ per atom: 29.65
Raw total energy in eV/atom: -5.746
Energy relative to the elements in kJ/mol of formula units: -2883

POSCAR file:
```
Cs4MgW2O8
1.0
3.362 -2.415 5.206
7.538 -0.305 -0.750
4.642 9.380 2.169
O Cs W Mg
8 4 2 1
Cartesian
5.188 1.604 1.859
6.803 8.650 2.218
8.483 7.061 5.041
6.833 -0.765 1.361
8.787 -1.880 4.300
10.290 4.658 4.890
7.817 1.844 0.366
8.005 4.359 6.393
9.376 6.775 2.100
9.986 0.255 2.162
5.477 6.348 4.420
6.170 -0.053 4.507
6.326 0.848 0.658
9.218 5.698 5.981
9.023 2.833 5.130
```

[9]
# Li3FeP2O8

A relaxed structure of Li3FeP2O8 (PBE+U, the Materials Project database).

Calculated values
Volume in Å³ per atom: 10.24
Distance to the lowest polymorph of the same formula in eV per atom: 0.005
Raw total energy in eV/atom: -6.618
Energy relative to the elements in kJ/mol of formula units: -3454

POSCAR file:
```
Li3FeP2O8
1.0
-0.027 5.821 -4.796
-0.027 -5.822 -4.797
-10.294 0.000 -4.553
O Li Fe P
32 12 4 8
Cartesian
-0.499 1.459 -3.290
-8.592 0.241 -12.975
-8.565 0.242 -8.179
-9.130 1.456 -10.751
-8.563 2.673 -8.177
-1.244 -1.455 -8.192
-1.782 3.152 -5.967
-6.809 3.136 -5.625
-3.510 0.227 -3.725
-4.669 -1.454 -10.437
-5.704 -4.363 -8.506
-6.809 -2.685 -5.626
-1.217 -1.454 -3.396
-1.784 -0.238 -5.969
-8.563 -3.148 -8.178
-6.835 -0.218 -10.420
-4.642 -1.453 -5.641
-1.782 -2.670 -5.968
-9.848 -1.452 -10.857
-9.103 1.457 -5.954
-6.080 -1.452 -8.264
-0.526 1.459 -8.087
-5.704 1.459 -8.506
-6.080 4.369 -8.263
-1.757 -0.238 -1.172
-3.539 -3.128 -8.523
-4.267 1.457 -5.883
-3.537 0.226 -8.522
-3.539 2.693 -8.522
-4.267 -4.364 -5.883
-9.821 -1.452 -6.060
-6.809 -0.218 -5.624
-5.158 -0.004 -7.073
-5.131 -0.003 -2.277
-5.189 2.907 -7.073
-2.376 1.472 -2.380
-0.690 -4.372 -5.258
-2.403 1.471 -7.177
-5.189 -2.915 -7.073
-7.944 -1.439 -6.970
-0.690 1.450 -5.257
-9.657 4.361 -8.889
-7.971 -1.439 -11.766
-9.657 -1.461 -8.889
-2.839 -1.452 -4.626
-7.508 1.459 -9.521
-2.866 -1.453 -9.423
-7.481 1.459 -4.724
-6.100 -1.452 -9.781
-9.339 1.457 -12.287
-9.312 1.458 -7.490
-6.073 -1.452 -4.984
-4.247 1.459 -4.366
-4.274 1.459 -9.163
-1.035 -1.454 -6.656
-1.008 -1.453 -1.859
```

[10]
# Ni3P4O14

A relaxed structure of Ni3P4O14 (PBE+U, the Materials Project database).

Calculated values
Volume in Å³ per atom: 12.08
Distance to the lowest polymorph of the same formula in eV per atom: 0.000
Raw total energy in eV/atom: -6.461
Energy relative to the elements in kJ/mol of formula units: -4308

POSCAR file:
```
Ni3P4O14
1.0
-1.098 -0.652 7.822
6.600 -2.963 0.680
6.505 6.656 1.468
P O Ni
8 28 6
Cartesian
10.197 2.199 7.960
1.809 0.841 2.010
2.961 -0.428 8.027
4.974 4.116 3.371
9.045 3.469 1.943
6.657 3.163 5.597
5.349 -0.123 4.373
7.032 -1.076 6.599
4.839 3.661 1.946
1.300 0.163 3.250
6.231 3.361 4.046
5.348 5.598 3.549
9.822 0.717 7.786
0.849 0.595 0.810
4.197 -1.263 8.312
6.745 4.549 6.265
7.167 -0.621 8.024
7.943 2.358 5.530
5.537 2.383 6.308
4.063 0.682 4.440
2.096 -1.057 6.920
7.809 4.303 1.658
8.810 1.995 2.326
8.786 2.863 8.379
5.775 -0.321 5.924
6.658 -2.558 6.421
11.157 2.445 9.160
5.261 -1.509 3.705
9.910 4.098 3.050
3.220 0.177 1.591
10.706 2.877 6.720
3.196 1.046 7.644
6.469 0.658 3.662
8.278 -0.661 5.764
3.728 3.701 4.206
2.184 2.323 2.184
5.401 -2.322 1.589
6.605 5.362 8.381
-0.549 -0.326 3.911
3.621 2.194 5.731
3.252 3.328 0.734
8.385 0.846 4.239
```

[11]
# Li3V4P6O24

A relaxed structure of Li3V4P6O24 (PBE+U, the Materials Project database).

Calculated values
Volume in Å³ per atom: 11.69
Distance to the lowest polymorph of the same formula in eV per atom: 0.049
Raw total energy in eV/atom: -7.212
Energy relative to the elements in kJ/mol of formula units: -9342

POSCAR file:
```
Li3V4P6O24
1.0
-3.517 5.159 -1.455
-5.307 -5.470 3.696
4.007 1.669 7.585
P O V Li
6 24 4 3
Cartesian
-3.546 1.652 1.500
-1.324 3.475 5.409
-1.271 -0.294 8.325
0.231 0.442 3.001
-5.048 0.916 6.824
-3.493 -2.116 4.416
-3.171 0.252 0.925
-1.819 5.170 1.266
-4.790 2.133 0.627
-2.323 2.577 1.257
-4.968 -1.645 4.400
-2.116 2.523 6.372
-2.884 -2.055 5.821
0.152 3.003 5.425
-2.701 -1.165 3.453
-0.853 -0.284 6.883
-1.933 3.413 4.004
-1.646 1.106 8.900
-4.545 1.293 5.463
-1.457 4.945 5.957
-0.271 0.065 4.362
-0.682 -0.122 1.863
-0.026 -0.775 9.198
-3.360 -3.587 3.868
0.239 2.035 2.823
-2.998 -3.812 8.559
-2.494 -1.219 8.568
-3.963 1.642 2.942
-5.056 -0.677 7.002
-4.135 1.481 7.962
-3.822 -2.227 7.667
-0.995 3.585 2.158
-2.633 2.595 8.197
-2.184 -1.237 1.628
-5.238 0.446 3.836
0.422 0.912 5.989
-0.650 -1.901 5.640
```